This record from the Materials Project describes crystalline BiOF at its relaxed geometry. The functional is PBE.

a b c (Å): 3.983 5.937 8.208
angles (deg): 90.00 90.00 90.00
Fractional coordinates of all 12 atoms:
Bi1 0.250 0.295 0.113
Bi2 0.750 0.795 0.387
Bi3 0.250 0.205 0.613
Bi4 0.750 0.705 0.887
O1 0.750 0.490 0.115
O2 0.250 0.990 0.385
O3 0.750 0.010 0.615
O4 0.250 0.510 0.885
F1 0.750 0.981 0.127
F2 0.250 0.481 0.373
F3 0.750 0.519 0.627
F4 0.250 0.019 0.873

Calculated values
- calculated formation energy (eV per atom) = -2.180
- crystal system = orthorhombic
- total energy (eV/atom) = -5.381
- space group = Pnma, No. 62